## Na6Ca4La4SiS11O48 (PBE-GGA)

Data for Na6Ca4La4SiS11O48 after structural relaxation.

Cell lengths 18.711, 9.362, 24.761 Å; angles 89.99, 89.97, 119.98 degrees
Sites, in units of the cell vectors:
O 0.329 0.125 0.133
O 0.070 0.492 0.579
Na 0.317 0.654 0.749
Ca 0.669 0.670 0.515
O 0.389 0.791 0.201
O 0.895 0.820 0.197
O 0.498 0.193 0.581
O 0.170 0.462 0.367
O 0.754 0.834 0.756
O 0.991 0.797 0.083
O 0.400 0.807 0.916
O 0.731 0.133 0.538
O 0.068 0.668 0.462
S 0.502 0.703 0.751
O 0.326 0.547 0.637
O 0.065 0.645 0.081
O 0.338 0.131 0.034
Ca 0.834 0.333 0.484
O 0.069 0.483 0.255
S 0.829 0.627 0.584
Na 0.506 0.004 0.490
O 0.725 0.321 0.033
S 0.684 0.027 0.584
O 0.402 0.981 0.414
S 0.000 0.309 0.250
O 0.229 0.327 0.034
O 0.332 0.152 0.749
O 0.907 0.795 0.302
O 0.115 0.205 0.799
S 0.518 0.675 0.418
S 0.816 0.974 0.417
O 0.673 0.894 0.864
Ca 0.333 0.335 0.183
O 0.264 0.678 0.254
O 0.664 0.871 0.962
S 0.153 0.995 0.250
O 0.661 0.851 0.254
O 0.431 0.353 0.919
O 0.423 0.542 0.745
O 0.154 0.836 0.255
S 0.997 0.689 0.749
O 0.245 0.140 0.920
O 0.276 0.869 0.466
S 0.987 0.344 0.583
O 0.324 0.507 0.919
O 0.827 0.548 0.637
O 0.996 0.191 0.583
O 0.012 0.794 0.701
Na 0.335 0.336 0.325
O 0.901 0.990 0.418
La 0.999 0.998 0.150
La 0.668 0.671 0.018
La 0.667 0.653 0.319
O 0.760 0.692 0.253
S 0.348 0.695 0.252
Ca 0.171 0.670 0.321
O 0.103 0.223 0.702
Ca 0.829 0.342 0.182
O 0.740 0.326 0.744
O 0.658 0.447 0.467
Na 0.675 0.681 0.660
Ca 0.833 0.333 0.984
O 0.674 0.451 0.369
O 0.675 0.860 0.580
O 0.327 0.132 0.419
S 0.834 0.041 0.085
O 0.174 0.891 0.868
La 0.496 0.011 0.851
O 0.606 0.228 0.701
O 0.989 0.774 0.798
O 0.055 0.655 0.364
O 0.066 0.653 0.756
O 0.164 0.456 0.466
O 0.606 0.990 0.201
Si 0.845 0.000 0.751
S 0.318 0.962 0.417
Na 0.178 0.703 0.665
S 0.981 0.627 0.084
Na 0.834 0.311 0.837
O 0.507 0.205 0.920
O 0.054 0.455 0.863
O 0.599 0.009 0.584
O 0.449 0.353 0.631
Ca 0.667 0.666 0.821
O 0.255 0.649 0.581
O 0.269 0.882 0.368
O 0.617 0.202 0.798
O 0.490 0.798 0.085
O 0.492 0.786 0.799
Na 0.693 0.002 0.748
O 0.557 0.460 0.868
O 0.433 0.524 0.420
O 0.992 0.208 0.298
S 0.316 0.656 0.915
O 0.094 0.992 0.917
S 0.665 0.356 0.420
O 0.595 0.991 0.916
La 0.993 0.997 0.648
Na 0.997 0.997 0.498
Na 0.824 0.359 0.336
O 0.847 0.523 0.246
O 0.438 0.331 0.534
Ca 0.333 0.334 0.984
S 0.495 0.296 0.251
Ca 0.833 0.326 0.675
Na 0.988 0.348 0.752
O 0.333 0.533 0.539
O 0.933 0.512 0.419
Ca 0.170 0.683 0.820
O 0.725 0.100 0.637
La 0.497 0.004 0.648
S 0.014 0.370 0.914
O 0.759 0.871 0.082
Na 0.335 0.294 0.839
O 0.398 0.783 0.299
S 0.653 0.003 0.251
S 0.166 0.371 0.417
S 0.816 0.656 0.915
O 0.015 0.236 0.201
O 0.097 0.006 0.583
O 0.931 0.352 0.918
O 0.409 0.020 0.085
O 0.232 0.342 0.133
O 0.900 0.807 0.916
O 0.256 0.814 0.751
S 0.180 0.020 0.581
O 0.773 0.650 0.864
S 0.334 0.041 0.083
O 0.225 0.124 0.534
S 0.151 0.310 0.751
O 0.745 0.139 0.918
O 0.909 0.024 0.082
S 0.187 0.334 0.083
O 0.114 0.019 0.299
O 0.775 0.897 0.365
O 0.918 0.529 0.744
Si 0.343 0.988 0.751
O 0.259 0.871 0.082
O 0.739 0.146 0.248
S 0.016 0.659 0.416
Ca 0.167 0.665 0.514
O 0.420 0.311 0.248
S 0.170 0.976 0.917
O 0.610 0.017 0.299
Na 0.004 0.004 0.002
O 0.178 0.485 0.082
O 0.270 0.671 0.962
O 0.667 0.475 0.756
O 0.839 0.168 0.745
O 0.399 0.006 0.804
O 0.239 0.353 0.746
O 0.092 0.202 0.417
O 0.502 0.213 0.201
O 0.173 0.856 0.579
La 0.334 0.312 0.683
O 0.149 0.466 0.756
O 0.891 0.966 0.699
O 0.833 0.532 0.538
Na 0.992 0.636 0.256
O 0.835 0.137 0.037
O 0.728 0.341 0.132
Na 0.180 0.671 0.172
O 0.065 0.464 0.962
O 0.509 0.824 0.415
Si 0.849 0.698 0.249
O 0.770 0.866 0.463
O 0.598 0.180 0.084
O 0.572 0.494 0.578
La 0.997 0.001 0.851
O 0.932 0.536 0.036
S 0.480 0.627 0.083
O 0.933 0.329 0.538
O 0.007 0.203 0.917
O 0.907 0.032 0.803
O 0.590 0.191 0.416
La 0.498 0.996 0.151
O 0.340 0.529 0.248
Na 0.820 0.992 0.245
O 0.237 0.138 0.245
O 0.566 0.683 0.466
S 0.670 0.975 0.914
S 0.657 0.308 0.749
O 0.394 0.977 0.698
S 0.329 0.631 0.585
O 0.906 0.796 0.582
O 0.574 0.680 0.757
O 0.009 0.813 0.417
Ca 0.499 0.000 0.350
O 0.101 0.977 0.202
O 0.102 0.185 0.083
O 0.241 0.352 0.417
Na 0.501 0.001 0.002
O 0.770 0.669 0.962
O 0.406 0.797 0.583
Na 0.817 0.654 0.744
O 0.565 0.648 0.082
O 0.943 0.542 0.135
O 0.272 0.649 0.864
O 0.824 0.138 0.421
S 0.683 0.330 0.082
La 0.332 0.331 0.480
O 0.823 0.507 0.919
O 0.950 0.351 0.636
Na 0.667 0.648 0.173
O 0.226 0.103 0.632
O 0.558 0.659 0.368
S 0.490 0.345 0.580
O 0.920 0.310 0.244
O 0.563 0.462 0.966
O 0.571 0.464 0.251
O 0.492 0.202 0.299
O 0.163 0.876 0.966
S 0.514 0.372 0.918
O 0.755 0.647 0.581
O 0.673 0.480 0.080
O 0.439 0.536 0.133
O 0.830 0.116 0.136
O 0.516 0.807 0.702
O 0.740 0.340 0.423
La 0.999 0.993 0.352
La 0.168 0.668 0.018
O 0.434 0.545 0.034

The electronic total energy is -6.5229 eV/atom. For the MP2020-corrected energy, the calculation gives -515.7 eV per formula unit. Its magnetization is 0.00 μB/f.u. Its formation energy from the elements is -2.59 eV/atom.